(1)
## PrSO (r2SCAN)

Data for an optimized crystal structure of PrSO.

Values from the calculation:
Space-group type ... Cm (8)
Total energy ... -17.271 eV/atom
Theoretical density ... 5.5 g cm⁻³
ΔE_f ... -2.801 eV/atom

abc: 5.897 7.173 5.890
angles: 90.01 90.00 114.27
Fractional coordinates of all 12 atoms:
Pr1 0.659 0.322 0.005
Pr2 0.336 0.676 0.005
Pr3 0.836 0.676 0.505
Pr4 0.159 0.321 0.505
S1 0.873 0.999 0.130
S2 0.374 0.999 0.380
S3 0.624 0.999 0.632
S4 0.124 0.999 0.880
O1 0.492 0.499 0.255
O2 0.992 0.499 0.255
O3 0.503 0.499 0.755
O4 0.003 0.499 0.755

***

(2)
## Pr2SO2 (r2SCAN)

Data for an optimized crystal structure of Pr2SO2.

Values from the calculation:
Space-group type ... P-3m1 (164)
Total energy ... -19.117 eV/atom
Theoretical density ... 6.0 g cm⁻³
ΔE_f ... -3.360 eV/atom

abc: 4.008 4.008 6.880
angles: 90.00 90.00 120.00
Fractional coordinates of all 5 atoms:
Pr1 0.667 0.333 0.720
Pr2 0.333 0.667 0.280
S1 0.000 0.000 0.000
O1 0.333 0.667 0.629
O2 0.667 0.333 0.371

***

(3)
## Pr2S2O (r2SCAN)

Data for an optimized crystal structure of Pr2S2O.

Values from the calculation:
Space-group type ... P2_1/c (14)
Total energy ... -19.030 eV/atom
Theoretical density ... 5.4 g cm⁻³
ΔE_f ... -2.860 eV/atom

abc: 7.255 7.143 8.619
angles: 81.44 90.00 90.00
Fractional coordinates of all 20 atoms:
Pr1 0.444 0.248 0.137
Pr2 0.056 0.748 0.137
Pr3 0.865 0.314 0.419
Pr4 0.635 0.814 0.419
Pr5 0.365 0.186 0.581
Pr6 0.135 0.686 0.581
Pr7 0.944 0.252 0.863
Pr8 0.556 0.752 0.863
S1 0.775 0.472 0.079
S2 0.725 0.972 0.079
S3 0.145 0.063 0.324
S4 0.355 0.563 0.324
S5 0.645 0.437 0.676
S6 0.855 0.937 0.676
S7 0.275 0.028 0.921
S8 0.225 0.528 0.921
O1 0.587 0.149 0.383
O2 0.913 0.649 0.383
O3 0.087 0.351 0.617
O4 0.413 0.851 0.617

***

(4)
## Pr3Sb5O12 (r2SCAN)

Data for an optimized crystal structure of Pr3Sb5O12.

Values from the calculation:
Space-group type ... I-43m (217)
Total energy ... -16.790 eV/atom
Theoretical density ... 6.0 g cm⁻³
ΔE_f ... -2.369 eV/atom

abc: 9.590 9.590 9.590
angles: 109.47 109.47 109.47
Fractional coordinates of all 40 atoms:
Pr1 0.750 0.500 0.250
Pr2 0.250 0.750 0.500
Pr3 0.750 0.250 0.500
Pr4 0.500 0.250 0.750
Pr5 0.500 0.750 0.250
Pr6 0.250 0.500 0.750
Sb1 0.494 0.494 0.494
Sb2 0.000 0.506 0.000
Sb3 0.506 0.000 0.000
Sb4 0.000 0.000 0.506
Sb5 0.000 0.722 0.722
Sb6 0.000 0.278 0.278
Sb7 0.278 0.000 0.278
Sb8 0.722 0.000 0.722
Sb9 0.278 0.278 0.000
Sb10 0.722 0.722 0.000
O1 0.530 0.530 0.725
O2 0.000 0.195 0.470
O3 0.195 0.000 0.470
O4 0.805 0.275 0.805
O5 0.275 0.805 0.805
O6 0.725 0.530 0.530
O7 0.000 0.470 0.195
O8 0.470 0.000 0.195
O9 0.530 0.725 0.530
O10 0.195 0.470 0.000
O11 0.470 0.195 0.000
O12 0.805 0.805 0.275
O13 0.513 0.000 0.709
O14 0.291 0.291 0.805
O15 0.000 0.709 0.513
O16 0.195 0.487 0.487
O17 0.709 0.000 0.513
O18 0.805 0.291 0.291
O19 0.000 0.513 0.709
O20 0.487 0.487 0.195
O21 0.513 0.709 0.000
O22 0.291 0.805 0.291
O23 0.487 0.195 0.487
O24 0.709 0.513 0.000

***

(5)
## Pr2SbO2 (r2SCAN)

Data for an optimized crystal structure of Pr2SbO2.

Values from the calculation:
Total energy ... -22.123 eV/atom
Theoretical density ... 6.5 g cm⁻³
ΔE_f ... -2.831 eV/atom

abc: 4.009 8.042 7.501
angles: 105.52 105.48 90.00
Fractional coordinates of all 10 atoms:
Pr1 0.337 0.168 0.674
Pr2 0.337 0.669 0.674
Pr3 0.663 0.332 0.326
Pr4 0.663 0.831 0.326
Sb1 0.000 0.000 0.000
Sb2 0.000 0.500 0.000
O1 0.250 0.375 0.501
O2 0.250 0.875 0.501
O3 0.750 0.125 0.499
O4 0.750 0.625 0.499

***

(6)
## PrScO3 (r2SCAN)

Data for an optimized crystal structure of PrScO3.

Values from the calculation:
Space-group type ... Pnma (62)
Total energy ... -15.533 eV/atom
Theoretical density ... 5.9 g cm⁻³
ΔE_f ... -3.789 eV/atom

abc: 5.618 5.821 8.060
angles: 90.00 90.00 90.00
Fractional coordinates of all 20 atoms:
Pr1 0.985 0.054 0.750
Pr2 0.515 0.554 0.750
Pr3 0.485 0.446 0.250
Pr4 0.015 0.946 0.250
Sc1 0.000 0.500 0.500
Sc2 0.500 0.000 0.000
Sc3 0.500 0.000 0.500
Sc4 0.000 0.500 0.000
O1 0.701 0.298 0.556
O2 0.895 0.538 0.250
O3 0.799 0.798 0.944
O4 0.105 0.462 0.750
O5 0.299 0.702 0.056
O6 0.201 0.202 0.444
O7 0.799 0.798 0.556
O8 0.395 0.962 0.750
O9 0.299 0.702 0.444
O10 0.201 0.202 0.056
O11 0.701 0.298 0.944
O12 0.605 0.038 0.250

***

(7)
## Pr2Se2O (r2SCAN)

Data for an optimized crystal structure of Pr2Se2O.

Values from the calculation:
Space-group type ... P2_1/c (14)
Total energy ... -21.427 eV/atom
Theoretical density ... 6.3 g cm⁻³
ΔE_f ... -2.746 eV/atom

abc: 7.388 7.396 8.920
angles: 80.18 90.00 90.00
Fractional coordinates of all 20 atoms:
Pr1 0.052 0.746 0.143
Pr2 0.552 0.754 0.857
Pr3 0.948 0.254 0.857
Pr4 0.448 0.246 0.143
Pr5 0.147 0.674 0.575
Pr6 0.647 0.826 0.425
Pr7 0.853 0.326 0.425
Pr8 0.353 0.174 0.575
Se1 0.722 0.971 0.078
Se2 0.629 0.431 0.680
Se3 0.371 0.569 0.320
Se4 0.871 0.931 0.680
Se5 0.222 0.529 0.922
Se6 0.278 0.029 0.922
Se7 0.778 0.471 0.078
Se8 0.129 0.069 0.320
O1 0.085 0.351 0.614
O2 0.415 0.851 0.614
O3 0.915 0.649 0.386
O4 0.585 0.149 0.386

***

(8)
## Pr4Se3O4 (r2SCAN)

Data for an optimized crystal structure of Pr4Se3O4.

Values from the calculation:
Space-group type ... Amm2 (38)
Total energy ... -19.789 eV/atom
Theoretical density ... 6.4 g cm⁻³
ΔE_f ... -3.021 eV/atom

abc: 4.058 6.846 8.518
angles: 90.00 90.00 107.24
Fractional coordinates of all 11 atoms:
Pr1 0.001 0.003 0.000
Pr2 0.017 0.034 0.500
Pr3 0.684 0.369 0.237
Pr4 0.684 0.369 0.763
Se1 0.356 0.711 0.353
Se2 0.356 0.711 0.647
Se3 0.315 0.629 0.000
O1 0.089 0.178 0.244
O2 0.089 0.178 0.756
O3 0.589 0.178 0.000
O4 0.615 0.230 0.500

***

(9)
## Pr2SeO2 (r2SCAN)

Data for an optimized crystal structure of Pr2SeO2.

Values from the calculation:
Space-group type ... P-3m1 (164)
Total energy ... -20.308 eV/atom
Theoretical density ... 6.5 g cm⁻³
ΔE_f ... -3.295 eV/atom

abc: 4.041 4.041 7.099
angles: 90.00 90.00 120.00
Fractional coordinates of all 5 atoms:
Pr1 0.667 0.333 0.712
Pr2 0.333 0.667 0.288
Se1 0.000 0.000 0.000
O1 0.333 0.667 0.626
O2 0.667 0.333 0.374

***

(10)
## Pr2Si2O7 (r2SCAN)

Data for an optimized crystal structure of Pr2Si2O7.

Values from the calculation:
Space-group type ... P2_1/c (14)
Total energy ... -14.192 eV/atom
Theoretical density ... 4.8 g cm⁻³
ΔE_f ... -3.450 eV/atom

abc: 8.705 5.426 14.176
angles: 67.26 90.00 90.00
Fractional coordinates of all 44 atoms:
Pr1 0.394 0.331 0.411
Pr2 0.894 0.669 0.089
Pr3 0.606 0.669 0.589
Pr4 0.106 0.331 0.911
Pr5 0.191 0.018 0.232
Pr6 0.691 0.982 0.268
Pr7 0.809 0.982 0.768
Pr8 0.309 0.018 0.732
Si1 0.503 0.453 0.820
Si2 0.003 0.547 0.680
Si3 0.497 0.547 0.180
Si4 0.997 0.453 0.320
Si5 0.753 0.253 0.974
Si6 0.253 0.747 0.526
Si7 0.247 0.747 0.026
Si8 0.747 0.253 0.474
O1 0.326 0.529 0.827
O2 0.826 0.471 0.673
O3 0.674 0.471 0.173
O4 0.174 0.529 0.327
O5 0.525 0.274 0.751
O6 0.025 0.726 0.749
O7 0.475 0.726 0.249
O8 0.975 0.274 0.251
O9 0.585 0.739 0.759
O10 0.085 0.261 0.741
O11 0.415 0.261 0.241
O12 0.915 0.739 0.259
O13 0.760 0.067 0.094
O14 0.260 0.933 0.406
O15 0.240 0.933 0.906
O16 0.740 0.067 0.594
O17 0.923 0.298 0.433
O18 0.423 0.702 0.067
O19 0.077 0.702 0.567
O20 0.577 0.298 0.933
O21 0.645 0.085 0.420
O22 0.145 0.915 0.080
O23 0.355 0.915 0.580
O24 0.855 0.085 0.920
O25 0.655 0.536 0.445
O26 0.155 0.464 0.055
O27 0.345 0.464 0.555
O28 0.845 0.536 0.945

***

(11)
## Pr2Sn2O7 (r2SCAN)

Data for an optimized crystal structure of Pr2Sn2O7.

Values from the calculation:
Space-group type ... Fd-3m (227)
Total energy ... -16.435 eV/atom
Theoretical density ... 6.9 g cm⁻³
ΔE_f ... -2.789 eV/atom

abc: 7.545 7.545 7.545
angles: 60.00 60.00 60.00
Fractional coordinates of all 22 atoms:
Pr1 0.125 0.125 0.125
Pr2 0.625 0.125 0.125
Pr3 0.125 0.125 0.625
Pr4 0.125 0.625 0.125
Sn1 0.625 0.625 0.625
Sn2 0.125 0.625 0.625
Sn3 0.625 0.625 0.125
Sn4 0.625 0.125 0.625
O1 0.000 0.000 0.000
O2 0.250 0.250 0.250
O3 0.293 0.293 0.707
O4 0.543 0.543 0.957
O5 0.707 0.293 0.707
O6 0.707 0.293 0.293
O7 0.293 0.707 0.707
O8 0.293 0.707 0.293
O9 0.707 0.707 0.293
O10 0.957 0.543 0.543
O11 0.543 0.957 0.957
O12 0.957 0.957 0.543
O13 0.957 0.543 0.957
O14 0.543 0.957 0.543

***

(12)
## PrTaO4 (r2SCAN)

Data for an optimized crystal structure of PrTaO4.

Values from the calculation:
Space-group type ... P2_1/c (14)
Total energy ... -20.461 eV/atom
Theoretical density ... 8.0 g cm⁻³
ΔE_f ... -3.480 eV/atom

abc: 5.531 7.634 7.758
angles: 79.65 90.00 90.00
Fractional coordinates of all 24 atoms:
Pr1 0.224 0.347 0.900
Pr2 0.724 0.653 0.600
Pr3 0.776 0.653 0.100
Pr4 0.276 0.347 0.400
Ta1 0.732 0.166 0.695
Ta2 0.232 0.834 0.805
Ta3 0.268 0.834 0.305
Ta4 0.768 0.166 0.195
O1 0.511 0.332 0.132
O2 0.011 0.668 0.368
O3 0.489 0.668 0.868
O4 0.989 0.332 0.632
O5 0.985 0.383 0.170
O6 0.485 0.617 0.330
O7 0.015 0.617 0.830
O8 0.515 0.383 0.670
O9 0.846 0.166 0.945
O10 0.346 0.834 0.555
O11 0.154 0.834 0.055
O12 0.654 0.166 0.445
O13 0.410 0.058 0.796
O14 0.910 0.942 0.704
O15 0.590 0.942 0.204
O16 0.090 0.058 0.296